No. 1
Material: SmMg5Sb4
Method: DFT, r2SCAN
State: relaxed

Values from the calculation:
**ΔE_f**: -627.3 meV/atom
**Density**: 4.65 Mg/m³

abc: 4.627 4.627 14.614
angles: 90.00 90.00 120.00
Sites, in units of the cell vectors:
Mg1 0.000 0.000 0.500
Mg2 0.667 0.333 0.672
Mg3 0.333 0.667 0.810
Sb1 0.667 0.333 0.389
Mg4 0.667 0.333 0.190
Sb2 0.333 0.667 0.611
Sb3 0.667 0.333 0.875
Mg5 0.333 0.667 0.328
Sm1 0.000 0.000 0.000
Sb4 0.333 0.667 0.125



No. 2
Material: Mg2Sc
Method: DFT, r2SCAN
State: relaxed

Values from the calculation:
**ΔE_f**: -9.9 meV/atom
**Density**: 2.24 Mg/m³

abc: 8.398 8.398 5.162
angles: 90.00 90.00 157.55
Sites, in units of the cell vectors:
Sc1 0.557 0.443 0.750
Mg1 0.110 0.890 0.250
Mg2 0.225 0.775 0.750
Mg3 0.890 0.110 0.750
Mg4 0.775 0.225 0.250
Sc2 0.443 0.557 0.250



No. 3
Material: MgSc
Method: DFT, r2SCAN
State: relaxed

Values from the calculation:
**ΔE_f**: -27.3 meV/atom
**Density**: 2.47 Mg/m³

abc: 3.596 3.596 3.596
angles: 90.00 90.00 90.00
Sites, in units of the cell vectors:
Sc1 0.500 0.500 0.500
Mg1 0.000 0.000 0.000



Please write out number 2 again, unchanged.
Material: Mg2Sc
Method: DFT, r2SCAN
State: relaxed

Values from the calculation:
**ΔE_f**: -9.9 meV/atom
**Density**: 2.24 Mg/m³

abc: 8.398 8.398 5.162
angles: 90.00 90.00 157.55
Sites, in units of the cell vectors:
Sc1 0.557 0.443 0.750
Mg1 0.110 0.890 0.250
Mg2 0.225 0.775 0.750
Mg3 0.890 0.110 0.750
Mg4 0.775 0.225 0.250
Sc2 0.443 0.557 0.250



Question: Look up the density of the second one.
Answer: 2.24 Mg/m³



Copy entry 3 word for word.
Material: MgSc
Method: DFT, r2SCAN
State: relaxed

Values from the calculation:
**ΔE_f**: -27.3 meV/atom
**Density**: 2.47 Mg/m³

abc: 3.596 3.596 3.596
angles: 90.00 90.00 90.00
Sites, in units of the cell vectors:
Sc1 0.500 0.500 0.500
Mg1 0.000 0.000 0.000



Question: ΔE_f of number 3 (MgSc)?
Answer: -27.3 meV/atom